(1)
Below is crystalline Li2Fe2Si2O7 at its relaxed geometry, with properties calculated at the GGA+U level.

- Calculated total energy: -0.507 Ry per atom
- ΔE to the lowest computed polymorph: 0.006 eV/atom
- Magnetization: 0.615 μB per atom
- ΔE_f: -2523 meV per atom
- Calculated volume: 154.9 Å³/f.u.

Cell lengths 13.371, 5.532, 10.000 Å; angles 56.90, 90.00, 90.00 degrees
Element x y z (fractional)
Fe  0.992  0.829  0.295
Si  0.883  0.766  0.034
O  0.792  0.562  0.029
O  0.384  0.663  0.932
Li  0.874  0.239  0.394
Fe  0.008  0.171  0.705
Si  0.671  0.632  0.036
O  0.156  0.294  0.329
O  0.562  0.584  0.710
Li  0.246  0.972  0.833
Fe  0.492  0.171  0.205
Li  0.126  0.761  0.606
Li  0.374  0.761  0.106
O  0.438  0.416  0.290
Si  0.617  0.766  0.534
Si  0.117  0.234  0.966
O  0.884  0.337  0.568
O  0.535  0.791  0.405
O  0.162  0.928  0.009
O  0.208  0.438  0.971
O  0.656  0.706  0.171
O  0.035  0.209  0.095
Fe  0.413  0.551  0.618
Fe  0.587  0.449  0.382
Fe  0.508  0.829  0.795
O  0.938  0.584  0.210
O  0.844  0.706  0.671
O  0.640  0.916  0.859
O  0.338  0.928  0.509
O  0.360  0.084  0.141
O  0.965  0.791  0.905
Si  0.383  0.234  0.466
Si  0.829  0.632  0.536
Si  0.329  0.368  0.964
O  0.062  0.416  0.790
Fe  0.087  0.551  0.118
O  0.116  0.663  0.432
O  0.616  0.337  0.068
O  0.140  0.084  0.641
Li  0.626  0.239  0.894
O  0.860  0.916  0.359
Li  0.746  0.028  0.667
O  0.344  0.294  0.829
Li  0.254  0.972  0.333
O  0.662  0.072  0.491
Li  0.754  0.028  0.167
O  0.708  0.562  0.529
O  0.838  0.072  0.991
Si  0.171  0.368  0.464
O  0.465  0.209  0.595
O  0.292  0.438  0.471
Fe  0.913  0.449  0.882

(2)
Below is crystalline LiFeSiO4 at its relaxed geometry, with properties calculated at the GGA+U level.

- Calculated total energy: -0.506 Ry per atom
- ΔE to the lowest computed polymorph: 0.016 eV/atom
- Magnetization: 0.714 μB per atom
- Largest piezoelectric modulus: 0.1 C/m²
- ΔE_f: -2521 meV per atom
- Calculated volume: 88.7 Å³/f.u.

Cell lengths 5.082, 6.734, 10.368 Å; angles 90.00, 90.00, 90.00 degrees
Element x y z (fractional)
Fe  0.317  0.286  0.660
Li  0.816  0.287  0.843
O  0.243  0.050  0.062
Li  0.684  0.287  0.343
O  0.757  0.550  0.938
Fe  0.683  0.786  0.340
O  0.316  0.840  0.340
O  0.705  0.735  0.668
Li  0.316  0.787  0.657
Si  0.682  0.537  0.092
Li  0.184  0.787  0.157
Fe  0.183  0.286  0.160
O  0.684  0.340  0.660
O  0.257  0.050  0.562
Fe  0.817  0.786  0.840
O  0.184  0.840  0.840
Si  0.818  0.537  0.592
O  0.295  0.235  0.332
Si  0.182  0.037  0.408
O  0.205  0.235  0.832
O  0.361  0.524  0.114
O  0.639  0.024  0.886
O  0.743  0.550  0.438
O  0.795  0.735  0.168
O  0.861  0.024  0.386
O  0.816  0.340  0.160
O  0.139  0.524  0.614
Si  0.318  0.037  0.908

Question: magnetization of number 2 (LiFeSiO4)?
Answer: 0.714 μB per atom

Question: magnetization of number 1 (Li2Fe2Si2O7)?
Answer: 0.615 μB per atom

Copy entry 2 word for word.
Below is crystalline LiFeSiO4 at its relaxed geometry, with properties calculated at the GGA+U level.

- Calculated total energy: -0.506 Ry per atom
- ΔE to the lowest computed polymorph: 0.016 eV/atom
- Magnetization: 0.714 μB per atom
- Largest piezoelectric modulus: 0.1 C/m²
- ΔE_f: -2521 meV per atom
- Calculated volume: 88.7 Å³/f.u.

Cell lengths 5.082, 6.734, 10.368 Å; angles 90.00, 90.00, 90.00 degrees
Element x y z (fractional)
Fe  0.317  0.286  0.660
Li  0.816  0.287  0.843
O  0.243  0.050  0.062
Li  0.684  0.287  0.343
O  0.757  0.550  0.938
Fe  0.683  0.786  0.340
O  0.316  0.840  0.340
O  0.705  0.735  0.668
Li  0.316  0.787  0.657
Si  0.682  0.537  0.092
Li  0.184  0.787  0.157
Fe  0.183  0.286  0.160
O  0.684  0.340  0.660
O  0.257  0.050  0.562
Fe  0.817  0.786  0.840
O  0.184  0.840  0.840
Si  0.818  0.537  0.592
O  0.295  0.235  0.332
Si  0.182  0.037  0.408
O  0.205  0.235  0.832
O  0.361  0.524  0.114
O  0.639  0.024  0.886
O  0.743  0.550  0.438
O  0.795  0.735  0.168
O  0.861  0.024  0.386
O  0.816  0.340  0.160
O  0.139  0.524  0.614
Si  0.318  0.037  0.908

Question: The highest calculated total energy belongs to which entry?
Answer: LiFeSiO4